Record 1
! In2Mo3O12, optimized geometry, DFT GGA+U; values from VASP
! Symmetry: No. 14
! Total energy in eV/atom: -6.672
&SYSTEM
  ibrav = 0, nat = 136, ntyp = 3
/
ATOMIC_SPECIES
O 16.00 O.upf
Mo 95.94 Mo.upf
In 114.82 In.upf
ATOMIC_POSITIONS crystal
O 0.2101 0.9163 0.7630
O 0.9398 0.1426 0.8259
O 0.8938 0.2315 0.6463
O 0.9857 0.2589 0.4671
O 0.1803 0.4107 0.4881
O 0.6375 0.9927 0.9288
O 0.6062 0.7315 0.6463
O 0.6447 0.5000 0.4275
O 0.5829 0.1837 0.8426
O 0.7178 0.0900 0.7413
O 0.3489 0.0474 0.8883
O 0.8553 0.0000 0.4275
O 0.7022 0.7719 0.9013
O 0.0801 0.3613 0.6691
O 0.1511 0.5474 0.8883
O 0.3197 0.9107 0.4881
O 0.3929 0.7782 0.8526
O 0.4199 0.8613 0.6691
O 0.0796 0.8170 0.6646
O 0.6168 0.9135 0.5173
O 0.3832 0.0865 0.4827
O 0.2822 0.9100 0.2587
O 0.8492 0.9486 0.6111
O 0.1168 0.5865 0.4827
O 0.9835 0.7673 0.9655
O 0.5796 0.6830 0.3354
O 0.6071 0.2218 0.1474
O 0.6262 0.4064 0.0199
O 0.9958 0.5479 0.2151
O 0.0042 0.4521 0.7849
O 0.5602 0.6426 0.8259
O 0.5143 0.7589 0.4671
O 0.0773 0.6340 0.7052
O 0.7928 0.7682 0.3994
O 0.3938 0.2685 0.3537
O 0.1447 0.0000 0.5725
O 0.0018 0.9430 0.2967
O 0.3248 0.4138 0.9985
O 0.4958 0.9521 0.7849
O 0.3492 0.5514 0.3889
O 0.8625 0.4927 0.9288
O 0.4398 0.3574 0.1741
O 0.0868 0.1291 0.2058
O 0.2928 0.7318 0.6006
O 0.1071 0.2782 0.8526
O 0.1062 0.7685 0.3537
O 0.7899 0.0837 0.2370
O 0.4227 0.1340 0.7052
O 0.8197 0.5893 0.5119
O 0.0829 0.3163 0.1574
O 0.7072 0.2682 0.3994
O 0.5042 0.0479 0.2151
O 0.9199 0.6387 0.3309
O 0.4132 0.6291 0.2058
O 0.4204 0.3170 0.6646
O 0.1375 0.5073 0.0712
O 0.4835 0.7327 0.0345
O 0.9227 0.3660 0.2948
O 0.8489 0.4526 0.1117
O 0.8738 0.9064 0.0199
O 0.7101 0.5837 0.2370
O 0.6511 0.9526 0.1117
O 0.8248 0.0862 0.0015
O 0.2072 0.2318 0.6006
O 0.5868 0.3709 0.7942
O 0.6508 0.4486 0.6111
O 0.7978 0.2719 0.9013
O 0.1262 0.0936 0.9801
O 0.2978 0.2281 0.0987
O 0.1508 0.0514 0.3889
O 0.5165 0.2673 0.9655
O 0.0165 0.2327 0.0345
O 0.3738 0.5936 0.9801
O 0.4982 0.4430 0.2967
O 0.5801 0.1387 0.3309
O 0.1752 0.9138 0.9985
O 0.2899 0.4163 0.7630
O 0.9204 0.1830 0.3354
O 0.3553 0.5000 0.5725
O 0.6803 0.0893 0.5119
O 0.0602 0.8574 0.1741
O 0.8929 0.7218 0.1474
O 0.5018 0.5570 0.7033
O 0.2022 0.7281 0.0987
O 0.0143 0.7411 0.5329
O 0.3625 0.0073 0.0712
O 0.7822 0.5900 0.7413
O 0.9171 0.6837 0.8426
O 0.9982 0.0570 0.7033
O 0.2178 0.4100 0.2587
O 0.4857 0.2411 0.5329
O 0.4171 0.8163 0.1574
O 0.6752 0.5862 0.0015
O 0.8832 0.4135 0.5173
O 0.5773 0.8660 0.2948
O 0.9132 0.8709 0.7942
Mo 0.7529 0.4847 0.0160
Mo 0.2501 0.0127 0.4828
Mo 0.1154 0.7318 0.6250
Mo 0.7471 0.9847 0.0160
Mo 0.3870 0.3695 0.2713
Mo 0.1199 0.3766 0.7672
Mo 0.2499 0.5127 0.4828
Mo 0.8801 0.6234 0.2328
Mo 0.1205 0.2269 0.1238
Mo 0.8795 0.7731 0.8762
Mo 0.3795 0.7269 0.1238
Mo 0.2529 0.0153 0.9840
Mo 0.7499 0.9873 0.5172
Mo 0.6199 0.1234 0.2328
Mo 0.6205 0.2731 0.8762
Mo 0.6130 0.6305 0.7287
Mo 0.6154 0.7682 0.3750
Mo 0.3801 0.8766 0.7672
Mo 0.8846 0.2682 0.3750
Mo 0.8870 0.1305 0.7287
Mo 0.3846 0.2318 0.6250
Mo 0.7501 0.4873 0.5172
Mo 0.1130 0.8695 0.2713
Mo 0.2471 0.5153 0.9840
In 0.5342 0.0658 0.8162
In 0.9684 0.1860 0.9331
In 0.4658 0.9342 0.1838
In 0.4684 0.3140 0.0669
In 0.9639 0.6833 0.4379
In 0.4688 0.4367 0.6853
In 0.0342 0.4342 0.1838
In 0.0312 0.9367 0.6853
In 0.0316 0.8140 0.0669
In 0.5361 0.1833 0.4379
In 0.5312 0.5633 0.3147
In 0.5316 0.6860 0.9331
In 0.4639 0.8167 0.5621
In 0.0361 0.3167 0.5621
In 0.9658 0.5658 0.8162
In 0.9688 0.0633 0.3147
CELL_PARAMETERS angstrom
-7.7859 -5.9120 -1.4635
4.4218 -9.0810 13.1596
-7.4081 6.3776 13.6483

=====

Record 2
! Rb5InMo4O16, optimized geometry, DFT GGA+U; values from VASP
! Symmetry: No. 13
! Total energy in eV/atom: -6.239
&SYSTEM
  ibrav = 0, nat = 52, ntyp = 4
/
ATOMIC_SPECIES
O 16.00 O.upf
Rb 85.47 Rb.upf
Mo 95.94 Mo.upf
In 114.82 In.upf
ATOMIC_POSITIONS crystal
O 0.7224 0.6239 0.1146
O 0.9700 0.6484 0.8750
O 0.3564 0.0806 0.8218
O 0.9700 0.8516 0.1250
O 0.7224 0.8761 0.8854
O 0.1085 0.8819 0.8857
O 0.7941 0.6117 0.3716
O 0.5416 0.3945 0.6955
O 0.6756 0.3861 0.3468
O 0.4584 0.6055 0.3045
O 0.3244 0.8861 0.3468
O 0.9071 0.8938 0.3552
O 0.6436 0.5806 0.8218
O 0.0929 0.1062 0.6448
O 0.3564 0.4194 0.1782
O 0.2776 0.3761 0.8854
O 0.2059 0.3883 0.6284
O 0.2776 0.1239 0.1146
O 0.9071 0.6062 0.6448
O 0.6756 0.1139 0.6532
O 0.0929 0.3938 0.3552
O 0.3244 0.6139 0.6532
O 0.0300 0.1484 0.8750
O 0.2059 0.1117 0.3716
O 0.8915 0.1181 0.1143
O 0.5416 0.1055 0.3045
O 0.1085 0.6181 0.1143
O 0.4584 0.8945 0.6955
O 0.0300 0.3516 0.1250
O 0.6436 0.9194 0.1782
O 0.7941 0.8883 0.6284
O 0.8915 0.3819 0.8857
Rb 0.8680 0.1453 0.4063
Rb 0.8680 0.3547 0.5937
Rb 0.1320 0.6453 0.4063
Rb 0.3492 0.8444 0.1029
Rb 0.1320 0.8547 0.5937
Rb 0.6508 0.3444 0.1029
Rb 0.6508 0.1556 0.8971
Rb 0.6106 0.7500 0.5000
Rb 0.3492 0.6556 0.8971
Rb 0.3894 0.2500 0.5000
Mo 0.8544 0.5558 0.8053
Mo 0.6603 0.5578 0.2826
Mo 0.1456 0.4442 0.1947
Mo 0.3397 0.4422 0.7174
Mo 0.3397 0.0578 0.2826
Mo 0.8544 0.9442 0.1947
Mo 0.1456 0.0558 0.8053
Mo 0.6603 0.9422 0.7174
In 0.0861 0.2500 0.0000
In 0.9139 0.7500 0.0000
CELL_PARAMETERS angstrom
-4.9130 -3.8947 5.2330
6.7602 -9.1162 -0.4380
8.4776 0.0517 7.9976

=====

Record 3
! RbInMo2O8, optimized geometry, DFT GGA+U; values from VASP
! Symmetry: No. 62
! Total energy in eV/atom: -6.498
&SYSTEM
  ibrav = 0, nat = 48, ntyp = 4
/
ATOMIC_SPECIES
O 16.00 O.upf
In 114.82 In.upf
Rb 85.47 Rb.upf
Mo 95.94 Mo.upf
ATOMIC_POSITIONS crystal
O 0.7500 0.5162 0.5433
O 0.7500 0.7007 0.1303
O 0.5021 0.1010 0.2028
O 0.5059 0.7770 0.4712
O 0.7500 0.9838 0.0433
O 0.0059 0.2230 0.5288
O 0.9941 0.7770 0.4712
O 0.7500 0.7993 0.6303
O 0.2500 0.4838 0.4567
O 0.2500 0.2993 0.8697
O 0.4941 0.2770 0.0288
O 0.2500 0.6400 0.6357
O 0.9979 0.3990 0.7028
O 0.9979 0.1010 0.2028
O 0.2500 0.6046 0.8185
O 0.7500 0.3954 0.1815
O 0.7500 0.1046 0.6815
O 0.7500 0.1400 0.8643
O 0.2500 0.8954 0.3185
O 0.2500 0.0162 0.9567
O 0.7500 0.3600 0.3643
O 0.4979 0.6010 0.2972
O 0.9941 0.7230 0.9712
O 0.5059 0.7230 0.9712
O 0.0021 0.8990 0.7972
O 0.2500 0.8600 0.1357
O 0.5021 0.3990 0.7028
O 0.0059 0.2770 0.0288
O 0.2500 0.2007 0.3697
O 0.4941 0.2230 0.5288
O 0.4979 0.8990 0.7972
O 0.0021 0.6010 0.2972
In 0.2500 0.8121 0.8860
In 0.7500 0.3121 0.6140
In 0.7500 0.1879 0.1140
In 0.2500 0.6879 0.3860
Rb 0.7500 0.4500 0.8758
Rb 0.2500 0.9500 0.6242
Rb 0.7500 0.0500 0.3758
Rb 0.2500 0.5500 0.1242
Mo 0.2500 0.2116 0.9690
Mo 0.7500 0.4913 0.2837
Mo 0.7500 0.7116 0.5310
Mo 0.2500 0.9913 0.2163
Mo 0.7500 0.0087 0.7837
Mo 0.7500 0.7884 0.0310
Mo 0.2500 0.5087 0.7163
Mo 0.2500 0.2884 0.4690
CELL_PARAMETERS angstrom
5.9596 0.0000 0.0000
0.0000 9.1240 0.0000
0.0000 0.0000 15.6351

=====

Record 4
! RbInMo2O8, optimized geometry, DFT GGA+U; values from VASP
! Symmetry: No. 164
! Total energy in eV/atom: -6.505
&SYSTEM
  ibrav = 0, nat = 12, ntyp = 4
/
ATOMIC_SPECIES
O 16.00 O.upf
Mo 95.94 Mo.upf
In 114.82 In.upf
Rb 85.47 Rb.upf
ATOMIC_POSITIONS crystal
O 0.1660 0.3320 0.1669
O 0.8340 0.1660 0.8331
O 0.6680 0.8340 0.1669
O 0.6667 0.3333 0.5415
O 0.1660 0.8340 0.1669
O 0.3333 0.6667 0.4585
O 0.8340 0.6680 0.8331
O 0.3320 0.1660 0.8331
Mo 0.3333 0.6667 0.2368
Mo 0.6667 0.3333 0.7632
In 0.0000 0.0000 0.0000
Rb 0.0000 0.0000 0.5000
CELL_PARAMETERS angstrom
2.9735 -5.1503 0.0000
2.9735 5.1503 0.0000
0.0000 0.0000 7.8865

=====

Record 5
! In2Te2MoO10, optimized geometry, DFT GGA+U; values from VASP
! Symmetry: No. 14
! Total energy in eV/atom: -5.936
&SYSTEM
  ibrav = 0, nat = 60, ntyp = 4
/
ATOMIC_SPECIES
O 16.00 O.upf
In 114.82 In.upf
Te 127.60 Te.upf
Mo 95.94 Mo.upf
ATOMIC_POSITIONS crystal
O 0.9669 0.8158 0.3723
O 0.5669 0.5366 0.9105
O 0.5455 0.0806 0.6776
O 0.1142 0.9897 0.4125
O 0.5756 0.6169 0.4906
O 0.3858 0.9897 0.9125
O 0.4545 0.9194 0.3224
O 0.9331 0.5366 0.4105
O 0.0669 0.4634 0.5895
O 0.9028 0.8967 0.9783
O 0.5487 0.6074 0.6967
O 0.5750 0.7448 0.2742
O 0.4028 0.1033 0.5217
O 0.5782 0.2773 0.8707
O 0.4669 0.1842 0.1277
O 0.4129 0.8009 0.7110
O 0.9129 0.1991 0.7890
O 0.0871 0.8009 0.2110
O 0.9545 0.0806 0.1776
O 0.0455 0.9194 0.8224
O 0.6142 0.0103 0.0875
O 0.0756 0.3831 0.0094
O 0.0487 0.3926 0.8033
O 0.0331 0.1842 0.6277
O 0.0750 0.2552 0.2258
O 0.5871 0.1991 0.2890
O 0.4244 0.3831 0.5094
O 0.4513 0.3926 0.3033
O 0.0782 0.7227 0.6293
O 0.9218 0.2773 0.3707
O 0.4218 0.7227 0.1293
O 0.5331 0.8158 0.8723
O 0.9513 0.6074 0.1967
O 0.8858 0.0103 0.5875
O 0.0972 0.1033 0.0217
O 0.9244 0.6169 0.9906
O 0.5972 0.8967 0.4783
O 0.4331 0.4634 0.0895
O 0.4250 0.2552 0.7258
O 0.9250 0.7448 0.7742
In 0.7618 0.8137 0.1256
In 0.7046 0.0261 0.8185
In 0.7954 0.0261 0.3185
In 0.2046 0.9739 0.6815
In 0.2382 0.1863 0.8744
In 0.2618 0.1863 0.3744
In 0.7382 0.8137 0.6256
In 0.2954 0.9739 0.1815
Te 0.7602 0.3806 0.7445
Te 0.7398 0.3806 0.2445
Te 0.1919 0.8214 0.9587
Te 0.8081 0.1786 0.0413
Te 0.6919 0.1786 0.5413
Te 0.2398 0.6194 0.2555
Te 0.3081 0.8214 0.4587
Te 0.2602 0.6194 0.7555
Mo 0.2324 0.3214 0.6133
Mo 0.7676 0.6786 0.3867
Mo 0.7324 0.6786 0.8867
Mo 0.2676 0.3214 0.1133
CELL_PARAMETERS angstrom
-4.4874 -3.0831 0.5822
6.9592 -9.9209 1.1010
6.7048 -7.1234 13.9545

=====

Record 6
! TlInMo2O8, optimized geometry, DFT GGA+U; values from VASP
! Symmetry: No. 62
! Total energy in eV/atom: -6.443
&SYSTEM
  ibrav = 0, nat = 48, ntyp = 4
/
ATOMIC_SPECIES
Mo 95.94 Mo.upf
O 16.00 O.upf
Tl 204.38 Tl.upf
In 114.82 In.upf
ATOMIC_POSITIONS crystal
Mo 0.7500 0.2111 0.5382
Mo 0.2500 0.4988 0.2175
Mo 0.2500 0.7889 0.4618
Mo 0.7500 0.2889 0.0382
Mo 0.2500 0.0012 0.7175
Mo 0.7500 0.5012 0.7825
Mo 0.2500 0.7111 0.9618
Mo 0.7500 0.9988 0.2825
O 0.7500 0.9093 0.1745
O 0.2500 0.7199 0.3540
O 0.2500 0.3543 0.1413
O 0.4986 0.1060 0.3025
O 0.7500 0.6457 0.8587
O 0.5014 0.8940 0.6975
O 0.5058 0.2841 0.4809
O 0.7500 0.0122 0.5374
O 0.2500 0.5122 0.9626
O 0.0014 0.3940 0.8025
O 0.5014 0.6060 0.1975
O 0.2500 0.9878 0.4626
O 0.4942 0.7159 0.5191
O 0.2500 0.7801 0.8540
O 0.4986 0.3940 0.8025
O 0.9942 0.2841 0.4809
O 0.0058 0.7841 0.0191
O 0.2500 0.1457 0.6413
O 0.0014 0.1060 0.3025
O 0.4942 0.7841 0.0191
O 0.2500 0.4093 0.3255
O 0.2500 0.0907 0.8255
O 0.7500 0.2801 0.6460
O 0.7500 0.5907 0.6745
O 0.7500 0.2199 0.1460
O 0.0058 0.7159 0.5191
O 0.9986 0.8940 0.6975
O 0.5058 0.2159 0.9809
O 0.9942 0.2159 0.9809
O 0.7500 0.8543 0.3587
O 0.7500 0.4878 0.0374
O 0.9986 0.6060 0.1975
Tl 0.2500 0.4464 0.6269
Tl 0.7500 0.5536 0.3731
Tl 0.2500 0.0536 0.1269
Tl 0.7500 0.9464 0.8731
In 0.2500 0.1970 0.3923
In 0.7500 0.8030 0.6077
In 0.2500 0.3030 0.8923
In 0.7500 0.6970 0.1077
CELL_PARAMETERS angstrom
-5.8068 1.2893 0.8479
0.9997 -1.3162 8.8480
3.5191 14.6750 1.7854

=====

Record 7
! NaInSnWO6, optimized geometry, DFT GGA+U; values from VASP
! Symmetry: No. 216
! Total energy in eV/atom: -6.134
&SYSTEM
  ibrav = 0, nat = 10, ntyp = 5
/
ATOMIC_SPECIES
O 16.00 O.upf
Na 22.99 Na.upf
In 114.82 In.upf
W 183.84 W.upf
Sn 118.71 Sn.upf
ATOMIC_POSITIONS crystal
O 0.2622 0.7378 0.2622
O 0.2622 0.2622 0.7378
O 0.7378 0.2622 0.7378
O 0.7378 0.2622 0.2622
O 0.2622 0.7378 0.7378
O 0.7378 0.7378 0.2622
Na 0.7500 0.7500 0.7500
In 0.0000 0.0000 0.0000
W 0.5000 0.5000 0.5000
Sn 0.2500 0.2500 0.2500
CELL_PARAMETERS angstrom
5.7659 -0.0685 -0.2565
2.7061 -4.1122 -3.0137
2.6854 1.3313 -4.9327

=====

Record 8
! NaSrInWO6, optimized geometry, DFT GGA+U; values from VASP
! Symmetry: No. 216
! Total energy in eV/atom: -6.380
&SYSTEM
  ibrav = 0, nat = 10, ntyp = 5
/
ATOMIC_SPECIES
O 16.00 O.upf
Na 22.99 Na.upf
W 183.84 W.upf
Sr 87.62 Sr.upf
In 114.82 In.upf
ATOMIC_POSITIONS crystal
O 0.2623 0.7377 0.7377
O 0.7377 0.7377 0.2623
O 0.2623 0.7377 0.2623
O 0.2623 0.2623 0.7377
O 0.7377 0.2623 0.2623
O 0.7377 0.2623 0.7377
Na 0.7500 0.7500 0.7500
W 0.5000 0.5000 0.5000
Sr 0.2500 0.2500 0.2500
In 0.0000 0.0000 0.0000
CELL_PARAMETERS angstrom
-3.9142 3.3986 -2.5480
-3.6564 -2.2149 -3.8844
-5.5996 -0.5665 1.2993